Entry 1:
## Er5Ge3C (PBE-GGA)

Data for an optimized crystal structure of Er5Ge3C.

```
Er5Ge3C
1.0
8.439 0.000 0.000
-4.220 7.309 0.000
0.000 0.000 6.410
Er Ge C
10 6 2
Direct
0.000 0.221 0.250
0.000 0.779 0.750
0.221 0.000 0.250
0.221 0.221 0.750
0.333 0.667 0.000
0.333 0.667 0.500
0.667 0.333 0.000
0.667 0.333 0.500
0.779 0.000 0.750
0.779 0.779 0.250
0.000 0.408 0.750
0.000 0.592 0.250
0.408 0.000 0.750
0.408 0.408 0.250
0.592 0.000 0.250
0.592 0.592 0.750
0.000 0.000 0.000
0.000 0.000 0.500
```

Summary:
* formation energy: -6.65 eV/f.u.


Entry 2:
## K3ErH9C6O14 (PBE-GGA)

Data for an optimized crystal structure of K3ErH9C6O14.

```
K3ErH9C6O14
1.0
5.764 -4.648 0.000
5.764 4.648 0.000
-0.845 0.000 16.375
K Er H C O
6 2 18 12 28
Direct
0.009 0.477 0.631
0.056 0.944 0.500
0.477 0.009 0.131
0.513 0.678 0.707
0.678 0.513 0.207
0.944 0.056 0.000
0.142 0.593 0.875
0.593 0.142 0.375
0.007 0.960 0.229
0.136 0.332 0.142
0.136 0.343 0.346
0.183 0.320 0.049
0.214 0.604 0.153
0.301 0.766 0.317
0.320 0.183 0.549
0.332 0.136 0.642
0.343 0.136 0.846
0.396 0.582 0.433
0.498 0.841 0.529
0.560 0.880 0.927
0.582 0.396 0.933
0.604 0.214 0.653
0.766 0.301 0.817
0.841 0.498 0.029
0.880 0.560 0.427
0.960 0.007 0.729
0.021 0.890 0.768
0.201 0.375 0.290
0.362 0.500 0.484
0.375 0.201 0.790
0.382 0.872 0.334
0.431 0.823 0.927
0.500 0.362 0.984
0.642 0.860 0.535
0.823 0.431 0.427
0.860 0.642 0.035
0.872 0.382 0.834
0.890 0.021 0.268
0.098 0.469 0.237
0.130 0.750 0.738
0.140 0.251 0.092
0.251 0.140 0.592
0.275 0.586 0.542
0.302 0.686 0.149
0.309 0.374 0.785
0.317 0.875 0.981
0.324 0.419 0.975
0.331 0.987 0.393
0.374 0.309 0.285
0.414 0.708 0.868
0.419 0.324 0.475
0.469 0.098 0.737
0.525 0.876 0.293
0.586 0.275 0.042
0.686 0.302 0.649
0.689 0.966 0.483
0.708 0.414 0.368
0.745 0.780 0.591
0.750 0.130 0.238
0.780 0.745 0.091
0.875 0.317 0.481
0.876 0.525 0.793
0.899 0.976 0.343
0.966 0.689 0.983
0.976 0.899 0.843
0.987 0.331 0.893
```

Summary:
* total magnetization: 1.0 μB per formula unit
* formation energy: -51.08 eV/f.u.


Entry 3:
## ErH9C5N2O8 (PBE-GGA)

Data for an optimized crystal structure of ErH9C5N2O8.

```
ErH9C5N2O8
1.0
5.633 -3.587 0.000
5.633 3.587 0.000
-2.173 0.000 6.256
Er H C N O
1 9 5 2 8
Direct
0.000 0.000 0.000
0.089 0.911 0.500
0.186 0.345 0.421
0.452 0.542 0.799
0.458 0.548 0.201
0.462 0.165 0.127
0.481 0.261 0.520
0.655 0.814 0.579
0.739 0.519 0.480
0.835 0.538 0.873
0.293 0.533 0.700
0.467 0.707 0.300
0.469 0.060 0.965
0.935 0.065 0.500
0.940 0.531 0.035
0.319 0.364 0.536
0.636 0.681 0.464
0.009 0.689 0.126
0.106 0.674 0.744
0.311 0.991 0.874
0.326 0.894 0.256
0.638 0.019 0.885
0.846 0.141 0.666
0.859 0.154 0.334
0.981 0.362 0.115
```

Summary:
* piezoelectric modulus e_max: 0.4 C/m2
* total magnetization: 0.0 μB per formula unit
* formation energy: -30.65 eV/f.u.


Entry 4:
## Er7C2I12N (PBE-GGA)

Data for an optimized crystal structure of Er7C2I12N.

```
Er7C2I12N
1.0
9.853 0.000 0.000
-4.087 9.670 0.000
-0.886 -3.998 16.359
Er C I N
14 4 24 2
Direct
0.020 0.433 0.179
0.047 0.252 0.691
0.140 0.452 0.981
0.162 0.543 0.385
0.218 0.757 0.150
0.366 0.882 0.355
0.435 0.569 0.236
0.565 0.431 0.764
0.634 0.118 0.645
0.782 0.243 0.850
0.838 0.457 0.615
0.860 0.548 0.019
0.953 0.748 0.309
0.980 0.567 0.821
0.135 0.680 0.284
0.256 0.638 0.266
0.744 0.362 0.734
0.865 0.320 0.716
0.043 0.143 0.850
0.062 0.749 0.697
0.109 0.399 0.550
0.160 0.027 0.412
0.204 0.822 0.970
0.229 0.290 0.110
0.289 0.532 0.812
0.326 0.153 0.664
0.375 0.801 0.518
0.406 0.429 0.374
0.452 0.057 0.232
0.471 0.680 0.076
0.529 0.320 0.924
0.548 0.943 0.768
0.594 0.571 0.626
0.625 0.199 0.482
0.674 0.847 0.336
0.711 0.468 0.188
0.771 0.710 0.890
0.796 0.178 0.030
0.840 0.973 0.588
0.891 0.601 0.450
0.938 0.251 0.303
0.957 0.857 0.150
0.059 0.548 0.084
0.941 0.452 0.916
```

Summary:
* total magnetization: 0.0 μB per formula unit
* formation energy: -29.18 eV/f.u.


Entry 5:
## KErC2O6 (PBE-GGA)

Data for an optimized crystal structure of KErC2O6.

```
KErC2O6
1.0
4.264 -4.749 0.000
4.264 4.749 0.000
-2.470 0.000 6.470
K Er C O
2 2 4 12
Direct
0.120 0.880 0.750
0.880 0.120 0.250
0.404 0.596 0.250
0.596 0.404 0.750
0.145 0.390 0.743
0.390 0.145 0.243
0.610 0.855 0.757
0.855 0.610 0.257
0.058 0.605 0.279
0.217 0.250 0.617
0.250 0.217 0.117
0.298 0.534 0.893
0.395 0.942 0.221
0.466 0.702 0.607
0.534 0.298 0.393
0.605 0.058 0.779
0.702 0.466 0.107
0.750 0.783 0.883
0.783 0.750 0.383
0.942 0.395 0.721
```

Summary:
* total magnetization: 0.0 μB per formula unit
* formation energy: -25.77 eV/f.u.


Entry 6:
## Er2Mn17C3 (PBE-GGA)

Data for an optimized crystal structure of Er2Mn17C3.

```
Er2Mn17C3
1.0
8.478 0.000 0.000
-4.239 7.343 0.000
0.000 0.000 8.268
Er Mn C
4 34 6
Direct
0.000 0.000 0.250
0.000 0.000 0.750
0.333 0.667 0.250
0.667 0.333 0.750
0.000 0.500 0.000
0.000 0.500 0.500
0.061 0.390 0.750
0.061 0.671 0.750
0.170 0.341 0.026
0.170 0.341 0.474
0.170 0.830 0.026
0.170 0.830 0.474
0.329 0.390 0.750
0.329 0.939 0.750
0.333 0.667 0.609
0.333 0.667 0.891
0.341 0.170 0.526
0.341 0.170 0.974
0.390 0.061 0.250
0.390 0.329 0.250
0.500 0.000 0.000
0.500 0.000 0.500
0.500 0.500 0.000
0.500 0.500 0.500
0.610 0.671 0.750
0.610 0.939 0.750
0.659 0.830 0.026
0.659 0.830 0.474
0.667 0.333 0.109
0.667 0.333 0.391
0.671 0.061 0.250
0.671 0.610 0.250
0.830 0.170 0.526
0.830 0.170 0.974
0.830 0.659 0.526
0.830 0.659 0.974
0.939 0.329 0.250
0.939 0.610 0.250
0.165 0.329 0.250
0.165 0.835 0.250
0.329 0.165 0.750
0.671 0.835 0.250
0.835 0.165 0.750
0.835 0.671 0.750
```

Summary:
* total magnetization: 0.6 μB per formula unit
* formation energy: -2.11 eV/f.u.


Entry 7:
## Er2Mo2C3 (PBE-GGA)

Data for an optimized crystal structure of Er2Mo2C3.

```
Er2Mo2C3
1.0
5.647 -1.692 0.000
5.647 1.692 0.000
-1.788 0.000 5.380
Er Mo C
2 2 3
Direct
0.114 0.114 0.319
0.886 0.886 0.681
0.351 0.351 0.128
0.649 0.649 0.872
0.228 0.228 0.756
0.500 0.500 0.000
0.772 0.772 0.244
```

Summary:
* ΔE to the lowest computed polymorph: 0.034 eV/atom
* total magnetization: 0.0 μB per formula unit
* formation energy: -2.40 eV/f.u.


Entry 8:
## Er2Mo2C3 (PBE-GGA)

Data for an optimized crystal structure of Er2Mo2C3.

```
Er2Mo2C3
1.0
5.822 -1.664 0.000
5.822 1.664 0.000
-2.116 0.000 5.281
Er Mo C
2 2 3
Direct
0.111 0.111 0.327
0.889 0.889 0.673
0.343 0.343 0.173
0.657 0.657 0.827
0.252 0.252 0.765
0.500 0.500 0.500
0.748 0.748 0.235
```

Summary:
* ΔE to the lowest computed polymorph: 0.000 eV/atom
* formation energy: -2.64 eV/f.u.


Entry 9:
## ErMoC2 (PBE-GGA)

Data for an optimized crystal structure of ErMoC2.

```
ErMoC2
1.0
5.677 0.000 0.000
0.000 3.363 0.000
0.000 0.000 10.762
Er Mo C
4 4 8
Direct
0.085 0.250 0.137
0.415 0.750 0.637
0.585 0.250 0.363
0.915 0.750 0.863
0.099 0.750 0.391
0.401 0.250 0.891
0.599 0.750 0.109
0.901 0.250 0.609
0.159 0.250 0.753
0.228 0.250 0.487
0.272 0.750 0.987
0.341 0.750 0.253
0.659 0.250 0.747
0.728 0.250 0.013
0.772 0.750 0.513
0.841 0.750 0.247
```

Summary:
* total magnetization: 0.0 μB per formula unit
* formation energy: -1.10 eV/f.u.


Entry 10:
## Er2CN2O2 (PBE-GGA)

Data for an optimized crystal structure of Er2CN2O2.

```
Er2CN2O2
1.0
3.691 0.000 0.000
-1.846 3.197 0.000
0.000 0.000 8.160
Er C N O
2 1 2 2
Direct
0.333 0.667 0.324
0.667 0.333 0.676
0.000 0.000 0.000
0.000 0.000 0.151
0.000 0.000 0.849
0.333 0.667 0.603
0.667 0.333 0.397
```

Summary:
* total magnetization: 0.0 μB per formula unit
* formation energy: -16.87 eV/f.u.


Entry 11:
## Er2Si4CN6 (PBE-GGA)

Data for an optimized crystal structure of Er2Si4CN6.

```
Er2Si4CN6
1.0
5.938 0.000 0.000
0.000 9.939 0.000
-5.870 0.000 10.348
Er Si C N
8 16 4 24
Direct
0.159 0.087 0.418
0.159 0.413 0.918
0.169 0.066 0.905
0.169 0.434 0.405
0.831 0.566 0.595
0.831 0.934 0.095
0.841 0.587 0.082
0.841 0.913 0.582
0.177 0.228 0.659
0.177 0.272 0.159
0.298 0.705 0.823
0.298 0.795 0.323
0.335 0.713 0.580
0.335 0.787 0.080
0.495 0.520 0.251
0.495 0.980 0.751
0.505 0.020 0.249
0.505 0.480 0.749
0.665 0.213 0.920
0.665 0.287 0.420
0.702 0.205 0.677
0.702 0.295 0.177
0.823 0.728 0.841
0.823 0.772 0.341
0.477 0.708 0.248
0.477 0.792 0.748
0.523 0.208 0.252
0.523 0.292 0.752
0.006 0.209 0.000
0.006 0.291 0.500
0.019 0.236 0.247
0.019 0.264 0.747
0.199 0.053 0.637
0.199 0.447 0.137
0.256 0.535 0.776
0.256 0.965 0.276
0.442 0.545 0.600
0.442 0.955 0.100
0.459 0.709 0.991
0.459 0.791 0.491
0.541 0.209 0.509
0.541 0.291 0.009
0.558 0.045 0.900
0.558 0.455 0.400
0.744 0.035 0.724
0.744 0.465 0.224
0.801 0.553 0.863
0.801 0.947 0.363
0.981 0.736 0.253
0.981 0.764 0.753
0.994 0.709 0.500
0.994 0.791 0.000
```

Summary:
* total magnetization: 0.0 μB per formula unit
* formation energy: -18.00 eV/f.u.


Entry 12:
## Er4ThCN4 (PBE-GGA)

Data for an optimized crystal structure of Er4ThCN4.

```
Er4ThCN4
1.0
-1.757 1.757 12.410
1.757 -1.757 12.410
1.757 1.757 -12.410
Er Th C N
4 1 1 4
Direct
0.107 0.107 0.000
0.298 0.298 0.000
0.702 0.702 0.000
0.893 0.893 0.000
0.500 0.500 0.000
0.000 0.000 0.000
0.201 0.201 0.000
0.396 0.396 0.000
0.604 0.604 0.000
0.799 0.799 0.000
```

Summary:
* total magnetization: 0.0 μB per formula unit
* formation energy: -15.69 eV/f.u.